Material: V10O9
Method: DFT, PBE with a Hubbard U
State: relaxed

Values from the calculation:
- Theoretical density: 5.165 g/cm3
- Magnetization: 10.00 μB per cell
- E (MP2020): -169.35 eV for the cell shown
- ΔE_f: -33.98 eV/f.u.

a b c (Å): 5.3174 6.2438 6.9373
angles (deg): 103.22 97.24 106.79
Closest atoms and distances in Å follow each position.
Positions (direct):
V: 0.8935 0.5512 0.8016  6 O 2.19-2.21
O: 0.4113 0.3030 0.3041  6 V 2.17-2.25
V: 0.2900 0.8596 0.6038  5 O 2.17-2.22
V: 0.2839 0.3369 0.5921  5 O 2.16-2.25
O: 0.1997 0.3991 0.8967  6 V 2.19-2.21
V: 0.9039 0.0474 0.7884  5 O 2.17-2.23
O: 0.8003 0.6009 0.1033  6 V 2.19-2.21
O: 0.1944 0.9020 0.9076  6 V 2.17-2.21
V: 0.0961 0.9526 0.2116  5 O 2.17-2.23
O: 0.3970 0.8024 0.3073  6 V 2.17-2.25
V: 0.5022 0.2505 0.0023  6 O 2.18-2.25
V: 0.7161 0.6631 0.4079  5 O 2.16-2.25
O: 0.6030 0.1976 0.6927  6 V 2.17-2.25
O: 0.8056 0.0980 0.0924  6 V 2.17-2.21
O: 0.0000 0.5000 0.5000  6 V 2.16-2.22
V: 0.7100 0.1404 0.3962  5 O 2.17-2.22
V: 0.1065 0.4488 0.1984  6 O 2.19-2.21
V: 0.4978 0.7495 0.9977  6 O 2.18-2.25
O: 0.5887 0.6970 0.6959  6 V 2.17-2.25

***

Material: SrCaTbNiO6
Method: DFT, PBE with a Hubbard U
State: relaxed

Values from the calculation:
- Theoretical density: 5.586 g/cm3
- Magnetization: 1.00 μB per cell
- E (MP2020): -67.81 eV for the cell shown
- ΔE_f: -24.01 eV/f.u.

a b c (Å): 5.7036 5.7036 5.7036
angles (deg): 60.00 60.00 60.00
Closest atoms and distances in Å follow each position.
Positions (direct):
O: 0.2292 0.7708 0.2292  1 Ni 1.85
Sr: 0.7500 0.7500 0.7500  12 O 2.86
O: 0.7708 0.2292 0.2292  1 Ni 1.85
Ca: 0.2500 0.2500 0.2500  12 O 2.86
O: 0.7708 0.2292 0.7708  1 Ni 1.85
O: 0.2292 0.7708 0.7708  1 Ni 1.85
O: 0.7708 0.7708 0.2292  1 Ni 1.85
O: 0.2292 0.2292 0.7708  1 Ni 1.85
Tb: 0.5000 0.5000 0.5000  6 O 2.18
Ni: 0.0000 0.0000 0.0000  6 O 1.85

***

Material: Li3Mn2O5
Method: DFT, PBE with a Hubbard U
State: relaxed

Values from the calculation:
- Theoretical density: 3.866 g/cm3
- Magnetization: 0.00 μB per cell
- E (MP2020): -140.59 eV for the cell shown
- ΔE_f: -21.50 eV/f.u.

a b c (Å): 5.2417 5.9390 6.5068
angles (deg): 75.52 95.68 70.39
Closest atoms and distances in Å follow each position.
Positions (direct):
O: 0.7142 0.8816 0.9031  2 Mn 1.93-1.97, 3 Li 2.06-2.11
Mn: 0.4009 0.1968 0.8005  4 O 1.93-2.01
O: 0.2730 0.6600 0.1080  2 Mn 1.94, 3 Li 2.11-2.14
Li: 0.8089 0.9021 0.6005  5 O 2.06-2.14
O: 0.2762 0.1386 0.0738  2 Mn 1.94-1.96, 3 Li 2.05-2.09
Mn: 0.7991 0.4032 0.5994  4 O 1.93-2.01
Li: 0.6000 0.8000 0.2000  6 O 2.05-2.23
O: 0.7224 0.3385 0.9003  2 Mn 1.95-2.01, 3 Li 2.10-2.14
Li: 0.2093 0.0952 0.3893  6 O 2.08-2.26
Li: 0.3912 0.6979 0.7996  5 O 2.06-2.14
O: 0.4857 0.7184 0.4969  2 Mn 1.93-1.97, 3 Li 2.06-2.11
Mn: 0.1992 0.6005 0.3983  6 O 1.93-1.97
O: 0.9271 0.9400 0.2921  2 Mn 1.94, 3 Li 2.11-2.14
Li: 0.6000 0.3000 0.2000  4 O 2.10-2.14
Mn: 0.0008 0.9994 0.0017  6 O 1.93-1.97
O: 0.4775 0.2615 0.4997  2 Mn 1.95-2.01, 3 Li 2.10-2.14
O: 0.1209 0.5437 0.6871  2 Mn 1.93-1.98, 2 Li 2.09-2.10
O: 0.9238 0.4615 0.3262  2 Mn 1.94-1.96, 3 Li 2.05-2.09
Li: 0.9908 0.5049 0.0107  6 O 2.08-2.26
O: 0.0791 0.0563 0.7129  2 Mn 1.93-1.98, 2 Li 2.09-2.10

***

- What is the magnetization in the third record?
  0.00 μB per cell

***

- Among the records above, which one has the lowest theoretical density?
  Li3Mn2O5

***

- Which formula does entry 3 have?
  Li3Mn2O5

***

- What is the formula in the third record?
  Li3Mn2O5